Version a
VASP calculation (PBE+U) on crystalline MgScNi2SbO6 at its relaxed geometry.

a b c (Å): 5.5189 5.7022 5.9898
angles (deg): 64.12 64.26 62.70
With the nearest neighbours (Å) after each atom.
Space group P1 (No. 1)
Unique sites:
1 Mg 0.0000 0.0000 0.0000 (multiplicity 1)  4 O 1.95-2.06
2 Sc 0.9093 0.3288 0.4924 (multiplicity 1)  5 O 2.03-2.26
3 Ni 0.2665 0.4306 0.7677 (multiplicity 1)  4 O 2.00-2.20
4 Ni 0.6254 0.9245 0.5010 (multiplicity 1)  4 O 1.92-2.01
5 Sb 0.6204 0.7181 0.0512 (multiplicity 1)  4 O 2.07-2.27
6 O 0.0122 0.6133 0.0985 (multiplicity 1)  1 Mg 1.99, 1 Sb 2.08, 1 Sc 2.20
7 O 0.2475 0.1424 0.6557 (multiplicity 1)  2 Ni 1.92-2.08, 1 Mg 1.97, 1 Sc 2.10
8 O 0.5191 0.6423 0.4826 (multiplicity 1)  2 Ni 2.00-2.01, 1 Sc 2.08
9 O 0.6519 0.1186 0.8794 (multiplicity 1)  1 Mg 2.06, 1 Sb 2.11, 1 Ni 2.20, 1 Sc 2.26
10 O 0.8746 0.6086 0.7132 (multiplicity 1)  2 Ni 2.00-2.03, 1 Sb 2.07
11 O 0.8765 0.1479 0.2851 (multiplicity 1)  1 Mg 1.95, 1 Ni 1.96, 1 Sc 2.03

Version b
VASP calculation (PBE+U) on crystalline MgScNi2SbO6 at its relaxed geometry.

a b c (Å): 5.3333 5.7216 5.7475
angles (deg): 88.56 62.60 65.75
With the nearest neighbours (Å) after each atom.
Space group P1 (No. 1)
Unique sites:
1 Mg 0.0000 0.0000 0.0000 (multiplicity 1)  4 O 1.97-2.05
2 Sc 0.3111 0.1279 0.3875 (multiplicity 1)  6 O 2.04-2.28
3 Ni 0.7014 0.5285 0.3131 (multiplicity 1)  4 O 2.02-2.13
4 Ni 0.8173 0.8102 0.7084 (multiplicity 1)  4 O 1.93-2.08
5 Sb 0.4126 0.4328 0.8815 (multiplicity 1)  4 O 2.00-2.24
6 O 0.1562 0.2158 0.1018 (multiplicity 1)  1 Mg 1.97, 1 Ni 2.10, 1 Sc 2.12, 1 Sb 2.18
7 O 0.2054 0.8583 0.6001 (multiplicity 1)  1 Ni 2.01, 1 Sc 2.04, 1 Mg 2.05
8 O 0.5873 0.3242 0.1300 (multiplicity 1)  1 Sb 2.00, 1 Mg 2.01, 1 Ni 2.02, 1 Sc 2.21
9 O 0.5987 0.1363 0.5792 (multiplicity 1)  1 Sb 2.01, 1 Ni 2.08
10 O 0.7224 0.8118 0.0980 (multiplicity 1)  2 Ni 2.02-2.06, 1 Mg 2.04, 1 Sc 2.09
11 O 0.8471 0.4759 0.6074 (multiplicity 1)  2 Ni 1.93-2.13

Version c
VASP calculation (PBE+U) on crystalline MgScNi2SbO6 at its relaxed geometry.

a b c (Å): 5.3658 5.3658 15.9194
angles (deg): 90.00 90.00 120.00
With the nearest neighbours (Å) after each atom.
Space group R3 (No. 146, hexagonal axes)
Unique sites:
1 Mg 0.0000 0.0000 0.0000 (multiplicity 3)  6 O 2.13-2.15
2 Sc 0.0000 0.0000 0.3556 (multiplicity 3)  6 O 2.13-2.15
3 Ni 0.0000 0.0000 0.1779 (multiplicity 3)  6 O 2.14-2.21
4 Ni 0.0000 0.0000 0.6131 (multiplicity 3)  3 O 1.92
5 Sb 0.0000 0.0000 0.8136 (multiplicity 3)  3 O 2.09
6 O 0.0286 0.6701 0.7521 (multiplicity 9)  1 Sb 2.09, 1 Sc 2.13, 1 Mg 2.13, 1 Ni 2.21
7 O 0.0359 0.3636 0.9326 (multiplicity 9)  2 Ni 1.92-2.14

Which structure wins on stability? version c wins.

Version a
VASP calculation (PBE+U) on crystalline Mg6NiSnO8 at its relaxed geometry.

a b c (Å): 4.3930 4.3930 8.7750
angles (deg): 90.00 90.00 90.00
With the nearest neighbours (Å) after each atom.
Space group P4/mmm (No. 123)
Unique sites:
1 Mg 0.0000 0.0000 0.0000 (multiplicity 1)  6 O 2.11-2.20
2 Mg 0.0000 0.5000 0.2409 (multiplicity 4)  6 O 2.11-2.27
3 Mg 0.5000 0.5000 0.0000 (multiplicity 1)  6 O 2.05-2.20
4 Ni 0.0000 0.0000 0.5000 (multiplicity 1)  6 O 2.20-2.28
5 Sn 0.5000 0.5000 0.5000 (multiplicity 1)  6 O 2.20-2.34
6 O 0.0000 0.0000 0.2403 (multiplicity 2)  5 Mg 2.11-2.20, 1 Ni 2.28
7 O 0.0000 0.5000 0.0000 (multiplicity 2)  6 Mg 2.11-2.20
8 O 0.0000 0.5000 0.5000 (multiplicity 2)  2 Sn 2.20, 2 Ni 2.20, 2 Mg 2.27
9 O 0.5000 0.5000 0.2337 (multiplicity 2)  5 Mg 2.05-2.20

Version b
VASP calculation (PBE+U) on crystalline Mg6NiSnO8 at its relaxed geometry.

a b c (Å): 4.4172 4.4172 8.7998
angles (deg): 90.00 90.00 90.00
With the nearest neighbours (Å) after each atom.
Space group P4/mmm (No. 123)
Unique sites:
1 Mg 0.0000 0.0000 0.0000 (multiplicity 1)  6 O 2.19-2.21
2 Mg 0.0000 0.0000 0.5000 (multiplicity 1)  6 O 2.21
3 Mg 0.0000 0.5000 0.2350 (multiplicity 4)  5 O 2.07-2.21
4 Ni 0.5000 0.5000 0.0000 (multiplicity 1)  6 O 2.04-2.21
5 Sn 0.5000 0.5000 0.5000 (multiplicity 1)  6 O 2.21-2.36
6 O 0.0000 0.0000 0.2487 (multiplicity 2)  6 Mg 2.19-2.21
7 O 0.0000 0.5000 0.0000 (multiplicity 2)  4 Mg 2.07-2.21, 2 Ni 2.21
8 O 0.0000 0.5000 0.5000 (multiplicity 2)  2 Sn 2.21, 4 Mg 2.21-2.33
9 O 0.5000 0.5000 0.2320 (multiplicity 2)  1 Ni 2.04, 4 Mg 2.21

Which structure wins on stability? version a wins.

Version a
VASP calculation (PBE+U) on crystalline MgV2NiTe2O10 at its relaxed geometry.

a b c (Å): 5.1466 6.4255 6.5711
angles (deg): 82.20 78.27 66.89
With the nearest neighbours (Å) after each atom.
Space group P1 (No. 1)
Unique sites:
1 Mg 0.0000 0.0000 0.0000 (multiplicity 1)  5 O 2.03-2.12
2 V 0.3203 0.0914 0.6555 (multiplicity 1)  5 O 1.88-2.07
3 V 0.7511 0.2892 0.4607 (multiplicity 1)  1 O 1.74
4 Ni 0.9997 0.6849 0.6045 (multiplicity 1)  5 O 2.00-2.19
5 Te 0.4991 0.8994 0.1965 (multiplicity 1)  3 O 1.93-1.97
6 Te 0.5328 0.4732 0.9379 (multiplicity 1)  3 O 1.92-2.00
7 O 0.1911 0.1070 0.3884 (multiplicity 1)  1 Te 1.97, 2 V 1.98-2.09
8 O 0.2237 0.8358 0.7382 (multiplicity 1)  1 V 1.88, 1 Mg 2.03
9 O 0.2473 0.7436 0.1946 (multiplicity 1)  1 Te 1.93, 1 Mg 2.10
10 O 0.3362 0.3840 0.5984 (multiplicity 1)  2 V 1.90-2.02, 1 Ni 2.03
11 O 0.3414 0.1022 0.9643 (multiplicity 1)  1 Te 1.95, 1 V 2.07, 1 Mg 2.07
12 O 0.7019 0.2579 0.1685 (multiplicity 1)  1 Te 2.00, 1 V 2.03, 1 Mg 2.03
13 O 0.7077 0.9866 0.5326 (multiplicity 1)  2 V 1.88-2.03, 1 Ni 2.00
14 O 0.7683 0.6477 0.9168 (multiplicity 1)  1 Te 1.92
15 O 0.7760 0.5539 0.4357 (multiplicity 1)  1 V 1.74
16 O 0.8517 0.2470 0.7580 (multiplicity 1)  1 Te 2.00, 2 V 2.08-2.21, 1 Mg 2.12

Version b
VASP calculation (PBE+U) on crystalline MgV2NiTe2O10 at its relaxed geometry.

a b c (Å): 5.1519 6.4837 6.7394
angles (deg): 80.96 78.55 67.83
With the nearest neighbours (Å) after each atom.
Space group P1 (No. 1)
Unique sites:
1 Mg 0.0000 0.0000 0.0000 (multiplicity 1)  5 O 1.98-2.08
2 V 0.0951 0.6358 0.3764 (multiplicity 1)  1 O 1.73
3 V 0.5371 0.8339 0.1599 (multiplicity 1)  3 O 1.81-2.00
4 Ni 0.7892 0.2594 0.3251 (multiplicity 1)  4 O 1.99-2.13
5 Te 0.2674 0.4667 0.8803 (multiplicity 1)  3 O 1.89-2.02
6 Te 0.3787 0.0112 0.6105 (multiplicity 1)  3 O 1.90-1.96
7 O 0.0367 0.2954 0.8938 (multiplicity 1)  1 Te 1.89, 1 Mg 2.00
8 O 0.0564 0.3791 0.4026 (multiplicity 1)  1 V 1.73
9 O 0.1259 0.9480 0.2749 (multiplicity 1)  2 V 2.00-2.09, 1 Mg 2.02, 1 Ni 2.13
10 O 0.1404 0.6696 0.6505 (multiplicity 1)  1 Te 1.92, 1 V 1.96
11 O 0.4255 0.8476 0.8801 (multiplicity 1)  1 Te 1.96, 1 V 2.06, 1 Mg 2.08
12 O 0.4982 0.5518 0.2477 (multiplicity 1)  2 V 1.90-1.99, 1 Ni 1.99
13 O 0.5944 0.0963 0.1230 (multiplicity 1)  1 V 1.81, 1 Mg 1.98
14 O 0.5993 0.1893 0.6117 (multiplicity 1)  1 Te 1.90, 1 Ni 2.05
15 O 0.6685 0.7983 0.4406 (multiplicity 1)  1 Te 1.93, 2 V 2.04-2.08
16 O 0.9789 0.6834 0.0708 (multiplicity 1)  1 Te 2.02, 1 Mg 2.07, 2 V 2.11-2.20

Which structure wins on stability? version b wins.